The following is a DFT calculation (PBE) of Na6FeSe4 after structural relaxation.

extended XYZ file:
```
22
Lattice="4.679 -8.104 0.000 4.679 8.104 0.000 0.000 0.000 7.239" Properties=species:S:1:pos:R:3 pbc="T T T"
Na 2.081 -1.201 0.301
Na 4.679 5.702 3.920
Na 7.277 -1.201 0.301
Na 6.597 -3.809 2.678
Na 6.597 3.809 6.297
Na 4.679 -5.702 0.301
Na 2.081 1.201 3.920
Na 4.679 -0.487 2.678
Na 2.761 -3.809 2.678
Na 4.679 0.487 6.297
Na 2.761 3.809 6.297
Na 7.277 1.201 3.920
Fe 4.679 -2.701 5.449
Fe 4.679 2.701 1.830
Se 4.679 5.057 1.050
Se 4.679 -5.057 4.669
Se 4.679 -2.701 0.694
Se 2.639 -1.523 4.669
Se 2.639 1.523 1.050
Se 6.719 -1.523 4.669
Se 6.719 1.523 1.050
Se 4.679 2.701 4.313
```

Results
DFT formation energy   -0.94 eV per atom
Space-group type   P6_3mc
Spin magnetization   0.00 μB/cell
E (MP2020)   -3.7010 eV/atom